Entry 1:
A plane-wave DFT calculation with PBE with a Hubbard U was carried out for a geometry-optimized NaCeMo8H40C12S6O34 structure.

```
204
Lattice="9.509 0.561 -1.430 -3.440 -11.186 5.177 -3.060 -6.098 -22.745" Properties=species:S:1:pos:R:3 pbc="T T T"
Mo 1.026 -4.089 0.178
Mo -2.010 -7.801 -7.775
S -2.771 -7.364 -15.072
H -1.018 -11.771 1.765
H -2.133 -9.033 -3.992
H 1.976 -3.046 -7.271
Na -1.720 -5.593 2.588
H 1.187 -9.570 -6.230
O 0.106 -10.177 -11.377
H 6.588 -2.854 -13.689
H -2.595 -15.212 -17.227
H 4.322 -5.867 -19.226
H 4.942 -5.938 -15.247
H -0.668 -9.996 1.669
S 2.553 -11.075 -4.990
C -2.715 -15.370 -16.147
O -1.803 -12.447 -7.348
H 0.420 -6.606 -18.938
O 1.662 -8.574 1.006
C -3.548 -12.796 -16.060
S 5.779 -9.359 -3.926
O -0.575 -4.151 0.869
C 6.557 -3.928 -2.938
C 2.466 -10.855 -14.335
O -2.468 -5.916 -11.989
H 7.350 -4.643 -3.176
H 0.693 -12.059 -6.119
O 4.835 -4.985 -8.926
O -3.592 -10.878 -1.297
C 3.296 -13.032 -8.922
H -2.791 -9.727 -14.933
O 1.173 -10.837 -20.447
Ce 8.004 -1.007 -7.005
H 0.420 -11.947 -4.334
H -1.300 -4.062 -10.260
C 2.369 -4.094 -3.744
H 1.822 -7.153 -12.768
O 3.870 -14.210 -11.250
Ce -1.555 -4.530 -17.170
O 6.167 -2.762 -7.417
H 1.867 -10.794 -13.416
O -3.158 -13.961 -11.580
O -0.541 -15.331 -19.141
H 4.833 -1.685 -3.399
Mo 0.873 -7.347 -0.312
Mo -1.003 -10.700 -19.528
O -2.195 -9.598 -6.963
H -1.314 -10.856 0.228
O 3.743 -9.455 -19.350
H -3.382 -12.798 -17.146
C 1.662 -9.529 -5.241
H 2.588 -10.117 -0.059
O 5.673 -5.967 0.043
H 0.779 -6.515 -17.428
C 5.745 -7.703 -3.225
O 2.073 -11.167 -17.919
H 2.403 -8.723 -5.233
O 5.511 -10.236 -9.834
Mo 4.623 -5.716 -10.714
H 2.087 -10.174 -15.109
H 3.517 -10.630 -14.123
H -2.933 -13.472 -12.396
H -1.994 -9.622 3.783
S -4.142 -14.428 -15.586
H -1.775 -9.127 -16.287
C 0.543 -5.868 -4.663
O -2.095 -8.694 -12.225
H 2.646 -4.878 -3.028
O -0.284 -7.657 -7.796
H 2.085 -7.333 -14.557
H 5.637 -4.164 -3.488
H 1.142 -5.929 -5.581
O -2.816 -13.787 -19.436
Mo 1.982 -12.634 -19.176
O -2.694 -5.580 -19.075
C 0.639 -12.629 -15.254
H 4.027 -4.952 -20.763
S -0.036 -3.688 -8.297
O 2.916 -6.067 -10.727
H 4.308 -12.661 -8.738
O 5.203 -7.125 -12.034
O 0.269 -6.069 -18.133
H 0.446 -13.604 -15.711
H -3.579 -13.869 -5.308
O 6.914 -6.313 -7.797
H 5.141 -7.690 -15.005
O -4.088 -14.465 -14.053
O -0.734 -7.268 0.352
C 4.321 -5.911 -20.318
H 1.702 -2.130 -8.810
H -2.629 -12.559 -15.510
S -2.997 -10.433 1.810
H 0.742 -12.872 -10.145
H -2.836 -7.111 -21.632
O 3.549 -1.392 0.143
O 6.600 -5.845 -17.700
H 2.589 -4.776 -14.664
H 0.363 -11.845 -15.970
H 2.266 -3.851 -8.853
O 3.261 -9.632 -8.216
Mo -1.615 -11.007 -8.284
H 5.850 -3.327 -8.152
C 1.142 -12.183 -5.124
O 0.759 -8.381 -1.707
O 4.103 -7.360 1.980
S 2.419 -12.516 -15.023
O 4.796 -5.233 -6.071
Na 1.504 -8.362 -9.499
H 1.307 -14.593 -10.187
H 0.431 -4.412 -10.491
H -2.926 -16.427 -15.957
C 1.346 -13.614 -10.681
H -3.568 -9.166 -16.476
S 6.006 -6.291 -20.808
H 5.800 -6.996 -4.065
H 4.339 -7.101 -16.517
O 5.103 -8.029 -6.772
O 2.750 -13.463 -13.853
O 1.836 -5.886 1.449
H 5.935 -0.296 -3.041
H -4.342 -12.080 -15.822
O 5.825 -2.936 0.438
H -0.509 -6.093 -4.875
O 0.092 -10.656 -8.271
H 0.112 -12.496 -14.300
O 2.955 -11.091 -3.509
O -3.905 -10.410 -11.201
O 3.393 -4.273 -0.160
Mo -1.982 -7.226 -10.973
C 5.724 -1.353 -2.851
H 2.315 -4.664 -12.879
Mo 4.990 -9.497 -8.025
O -1.094 -9.363 -20.978
O 2.249 -8.342 -17.291
O -1.787 -11.490 -12.927
H 5.844 -9.612 2.634
H 0.922 -6.549 -3.888
C 1.866 -4.540 -13.873
H 5.603 -1.512 -1.771
H 1.489 -3.517 -13.975
H 1.520 -13.206 -5.023
C 1.663 -3.109 -8.316
S 0.590 -4.208 -3.974
Mo 4.012 -6.023 0.531
H 3.676 -6.727 -20.667
C 5.723 -6.295 -22.582
O 4.812 -4.277 -11.650
O -0.861 -2.513 -7.748
O 5.180 -7.642 -9.447
O -2.171 -9.082 -9.551
C 1.346 -7.194 -13.757
H 1.032 -13.677 -11.727
O 5.702 -11.143 0.077
C -2.737 -9.020 -15.773
C -2.095 -9.831 -3.240
H 5.941 -3.251 -6.601
O 3.293 -9.066 -11.202
O 3.583 -12.572 -19.867
C 5.104 -6.892 -15.757
Mo 1.900 -7.841 2.790
S 7.151 -2.295 -3.412
C -1.312 -10.812 1.321
O 3.151 -7.035 -0.659
Mo 5.019 -8.922 -11.223
H -1.825 -15.038 -15.599
O -0.143 -9.688 -18.339
S 3.045 -13.035 -10.701
Mo 4.614 -6.271 -7.455
H 4.784 -7.597 -2.711
H 2.563 -3.119 -3.287
Mo 2.135 -9.376 -18.685
O 2.903 -6.546 -7.621
H 1.906 -16.505 -17.736
H 1.102 -0.219 -1.262
O -0.384 -12.450 -18.838
O 0.053 -5.632 -15.489
C -2.714 -10.428 3.584
O 1.969 -13.972 -18.084
C -0.287 -3.691 -10.076
O 7.097 -2.258 -4.945
O -1.827 -11.739 -10.072
H 2.230 -10.208 -1.570
Mo 1.108 -8.882 -21.788
H 2.577 -12.311 -8.506
H -2.841 -13.396 -10.846
O -0.253 -7.091 -10.782
O 2.739 -10.655 -0.864
O -2.502 -6.487 -9.164
O 1.347 -8.149 -20.004
Mo -1.606 -10.452 -11.542
H 0.605 -8.000 -13.764
H 0.924 -9.390 -4.441
O -2.664 -10.756 -19.040
O 0.935 -5.556 -1.078
H 2.896 -4.227 -4.697
H 6.390 -3.925 -1.852
H 5.002 -7.101 -22.781
O 0.259 -3.260 -5.144
O 5.477 -10.807 -7.008
O 1.040 -2.751 -0.914
H 6.576 -7.557 -2.522
H -1.330 -9.622 -2.481
S 0.456 -5.648 -14.008
H -1.933 -10.786 -3.751
```

Summary:
* total energy: -5.776 eV/atom
* V: 13.2 Å³ per atom
* theoretical density: 2.29 g/cm³



Entry 2:
A plane-wave DFT calculation with PBE with a Hubbard U was carried out for a geometry-optimized GaCoPH18C9NCl2O3 structure.

```
72
Lattice="-7.848 -7.321 4.561 5.228 -5.554 0.080 4.434 1.323 9.753" Properties=species:S:1:pos:R:3 pbc="T T T"
C 3.059 -4.871 8.556
P -2.516 -6.786 7.140
C -0.576 -7.563 9.231
H 5.402 -2.928 8.444
H -3.588 -8.625 5.950
H 2.562 -7.448 11.698
H 5.348 -6.873 7.903
C -1.245 -6.682 5.837
H 0.049 -10.222 3.745
C 2.390 -3.990 5.162
H 5.771 -2.887 6.696
O -4.306 -7.169 10.351
H -0.933 -3.010 4.095
H 2.585 -5.860 8.548
H 2.972 -0.204 9.947
Ga -1.186 -5.604 11.326
H -3.534 -4.679 6.490
N 2.935 -9.487 12.184
C -1.309 -3.245 3.094
H -3.957 -8.665 7.697
H 0.893 -2.574 1.742
P 4.330 -4.767 7.253
C -3.307 -6.765 9.892
C 2.973 -6.791 5.750
Cl 0.915 -6.735 2.748
H -0.748 -4.105 2.696
H -2.364 -9.204 7.124
H 1.764 -1.330 10.649
Co -1.791 -6.309 9.153
N -1.121 -2.066 2.209
H 0.921 -8.979 12.651
C 5.121 -4.787 4.501
H -0.467 -7.434 6.021
H 2.747 -8.542 10.298
C 2.828 -1.072 10.600
H 0.687 -1.498 3.154
Co 3.605 -5.243 5.241
C -3.170 -8.478 6.956
O 6.120 -4.383 4.043
H 4.178 -2.349 7.269
H 1.126 -10.054 11.240
H -0.771 -5.692 5.845
O 0.221 -8.417 9.232
H -4.734 -5.799 7.188
C 4.984 -3.075 7.438
H 1.352 -10.700 12.901
H 5.960 -5.499 8.882
H 3.398 -1.928 10.206
C 1.491 -9.831 12.248
O 2.485 -7.774 6.155
H 6.548 -5.753 7.205
H -1.158 -11.349 4.447
Cl 0.899 -4.818 11.645
O 1.593 -3.136 5.162
H 2.281 -4.118 8.372
C 3.123 -8.308 11.300
C 5.678 -5.827 7.871
H 3.504 -4.699 9.547
C -3.865 -5.725 6.523
H -1.690 -6.854 4.847
Ga 3.000 -5.949 3.067
H 0.462 -0.853 1.493
O -0.671 -3.778 8.238
H -1.584 -9.625 4.188
H -2.374 -3.499 3.141
Cl -1.486 -7.043 13.031
C -1.014 -10.481 3.794
C -1.160 -4.762 8.644
H 4.188 -8.054 11.253
C 0.323 -1.722 2.145
H -4.146 -6.053 5.512
Cl 3.300 -4.510 1.362
```

Summary:
* total energy: -5.486 eV/atom
* V: 13.1 Å³ per atom
* theoretical density: 1.48 g/cm³



Entry 3:
A plane-wave DFT calculation with PBE with a Hubbard U was carried out for a geometry-optimized CoH14C3NCl3O2 structure.

```
96
Lattice="-3.235 -6.480 -0.751 6.616 -2.838 -4.021 6.726 -5.053 14.631" Properties=species:S:1:pos:R:3 pbc="T T T"
Cl 6.019 -4.755 -2.556
H 9.644 -9.571 10.973
H 0.463 -4.799 -1.114
H 10.036 -6.361 8.970
H 4.924 -7.094 -0.519
H 10.394 -7.996 6.574
Cl 4.087 -9.615 12.415
H 9.141 -10.150 7.276
Cl 8.661 -7.672 11.243
C 3.819 -5.053 9.504
H 0.071 -8.008 0.889
H 1.877 -9.258 6.429
C 5.174 -7.108 9.292
H 4.295 -7.570 8.832
H 4.302 -4.300 0.917
H 0.494 -5.931 4.848
H 5.948 -10.746 3.604
H 4.158 -3.623 6.255
H 1.675 -2.965 0.713
H 8.369 -6.514 13.055
C 3.823 -9.484 0.310
Cl 2.017 -3.739 5.922
H 7.186 -5.293 9.087
C 6.283 -4.886 9.549
Co 5.053 -7.185 4.929
H 4.022 -6.870 1.028
O 1.690 -1.075 -0.663
H 6.085 -7.499 8.831
H 2.559 -5.066 2.613
O 0.316 -3.827 -0.982
O 8.417 -13.295 10.522
H 5.812 -6.800 1.027
H 10.782 -7.291 11.237
H 3.016 -6.978 6.693
H 7.048 -9.826 10.225
Co 6.671 -3.945 5.305
H 1.737 -7.856 -3.196
C 6.287 -9.317 0.355
H 2.920 -9.077 0.772
O 9.791 -10.543 10.841
H 0.966 -4.220 2.583
H 7.183 -4.054 1.345
H 8.229 -5.112 3.430
H 3.059 -4.544 -0.366
H 5.805 -10.070 8.942
H 8.665 -9.108 8.652
H 4.996 -8.848 1.874
H 8.431 -11.405 9.146
N 5.105 -5.639 9.019
C 8.302 -9.791 7.878
H -0.287 -6.374 3.285
Cl 8.089 -10.631 3.937
Cl 4.933 -9.310 6.137
H 8.039 -12.357 7.020
H 6.408 -11.585 6.982
O 5.034 -10.760 3.218
Cl 5.173 -5.059 3.722
C 3.494 -3.830 0.342
Cl 3.176 -8.140 3.610
H -0.675 -7.079 -1.378
Cl 4.805 -8.171 -3.144
C 6.612 -10.540 9.517
H 9.612 -8.438 5.011
H 2.924 -10.316 8.514
H 7.548 -9.303 7.246
H 6.246 -11.431 10.039
H 2.067 -2.013 2.839
C 2.914 -2.357 2.238
Co 0.000 0.000 0.000
H 2.704 -5.920 -2.972
Cl 5.302 -6.199 13.003
N 7.685 -10.966 8.568
Cl 1.446 -6.698 -1.384
Cl 6.930 -6.230 6.249
C 7.193 -12.013 7.621
C 4.933 -7.262 0.567
H 3.785 -9.376 -0.783
N 5.002 -8.731 0.840
H 5.182 -7.276 10.378
H 6.915 -8.810 3.828
O 6.408 -8.008 3.537
H 5.110 -5.522 7.985
H 10.413 -6.833 5.196
H 3.860 -2.939 -0.180
H -0.307 -7.537 4.663
H 3.698 -2.785 2.877
O 5.073 -3.610 6.640
C 1.804 -4.579 1.981
H 7.091 -7.392 3.165
H 3.191 -5.560 6.031
O 3.699 -6.362 6.322
H 6.322 -4.994 10.642
N 2.422 -3.404 1.291
Co -1.618 -3.240 -0.375
H 7.402 -8.450 12.830
H 1.442 -5.262 1.207
```

Summary:
* total energy: -4.882 eV/atom
* V: 10.6 Å³ per atom
* theoretical density: 1.71 g/cm³



Entry 4:
A plane-wave DFT calculation with PBE with a Hubbard U was carried out for a geometry-optimized CoH8C2N4Cl2O4 structure.

```
42
Lattice="-3.849 -4.825 5.174 5.921 -4.448 0.256 6.218 2.114 6.597" Properties=species:S:1:pos:R:3 pbc="T T T"
Co 1.184 -1.356 5.886
O 2.711 -7.653 4.409
H 3.506 -2.831 8.760
H 2.001 -0.254 3.607
O 4.027 -3.861 11.105
H 7.528 -1.250 5.710
N 4.433 -3.238 8.896
H 5.011 -3.421 8.082
H 3.241 -0.202 4.625
N 3.150 -5.147 6.496
H 8.606 -5.336 10.097
H 8.267 -2.801 6.062
Cl -0.240 -2.267 4.183
N 0.841 -4.899 6.246
H 3.658 -7.362 4.479
N 5.139 -2.013 5.531
C 6.227 -2.810 5.825
N 2.307 -2.723 1.860
O 5.955 -4.016 6.125
O 5.578 0.494 7.619
H 5.048 -6.957 7.403
N 7.447 -2.260 5.782
Cl 8.529 -4.893 7.845
N 5.982 -4.437 10.167
H 0.022 -4.359 5.966
Cl 7.218 -3.697 2.130
H 4.631 0.203 7.549
C 2.062 -4.349 6.202
O 5.897 -6.500 7.604
Cl 1.071 -3.463 9.898
H 0.761 -5.909 6.318
Co 0.000 0.000 0.000
C 4.754 -3.815 10.061
N 3.856 -3.922 3.132
H 6.288 -6.905 8.421
O 2.334 -3.143 5.903
H -0.317 -1.823 1.931
H 3.278 -3.739 3.946
O 2.392 -0.660 4.424
O 4.262 -3.298 0.923
H 4.783 -4.328 3.268
C 3.535 -3.345 1.966
```

Summary:
* total energy: -5.448 eV/atom
* V: 12.0 Å³ per atom
* theoretical density: 1.86 g/cm³